# TiO2 (PBE, relaxed)
data_TiO2
_chemical_formula_sum 'Ti12 O24'
_cell_length_a 6.0216
_cell_length_b 6.0216
_cell_length_c 14.2811
_cell_angle_alpha 90.00
_cell_angle_beta 90.00
_cell_angle_gamma 120.00
_space_group_name_H-M_alt 'R 3 m'
_space_group_IT_number 160
_space_group_name_Hall 'R 3 -2"'
loop_
_atom_site_label
_atom_site_type_symbol
_atom_site_fract_x
_atom_site_fract_y
_atom_site_fract_z
_atom_site_occupancy
Ti1 Ti 0.0000 0.0000 0.0000 1
Ti2 Ti 0.1773 0.3545 0.2114 1
O1 O 0.0000 0.0000 0.1399 1
O2 O 0.0000 0.0000 0.6229 1
O3 O 0.0032 0.5016 0.6246 1
O4 O 0.0329 0.5165 0.1478 1
# MP2020-corrected energy: -9.251 eV/atom
# Largest piezoelectric modulus: 1.0 C/m²

***

# TiO2 (PBE, relaxed)
data_TiO2
_chemical_formula_sum 'Ti4 O8'
_cell_length_a 4.585
_cell_length_b 5.581
_cell_length_c 4.935
_cell_angle_alpha 90.00
_cell_angle_beta 90.00
_cell_angle_gamma 90.00
_space_group_name_H-M_alt 'P b c n'
_space_group_IT_number 60
_space_group_name_Hall '-P 2n 2ab'
loop_
_atom_site_label
_atom_site_type_symbol
_atom_site_fract_x
_atom_site_fract_y
_atom_site_fract_z
_atom_site_occupancy
Ti1 Ti 0.000 0.177 0.250 1
O1 O 0.229 0.119 0.581 1
# MP2020-corrected energy: -9.401 eV/atom

***

# Ti2O3 (PBE, relaxed)
data_Ti2O3
_chemical_formula_sum 'Ti4 O6'
_cell_length_a 5.148
_cell_length_b 3.002
_cell_length_c 7.364
_cell_angle_alpha 90.00
_cell_angle_beta 101.66
_cell_angle_gamma 90.00
_space_group_name_H-M_alt 'P 1 21/m 1'
_space_group_IT_number 11
_space_group_name_Hall '-P 2yb'
loop_
_atom_site_label
_atom_site_type_symbol
_atom_site_fract_x
_atom_site_fract_y
_atom_site_fract_z
_atom_site_occupancy
Ti1 Ti 0.159 0.250 0.158 1
Ti2 Ti 0.269 0.250 0.523 1
O1 O 0.059 0.750 0.346 1
O2 O 0.214 0.750 0.004 1
O3 O 0.485 0.750 0.669 1
# MP2020-corrected energy: -9.334 eV/atom

***

# Ti6O (PBE, relaxed)
data_Ti6O
_chemical_formula_sum 'Ti12 O2'
_cell_length_a 5.1168
_cell_length_b 5.1168
_cell_length_c 9.4869
_cell_angle_alpha 90.00
_cell_angle_beta 90.00
_cell_angle_gamma 120.00
_space_group_name_H-M_alt 'P -3 1 c'
_space_group_IT_number 163
_space_group_name_Hall '-P 3 2c'
loop_
_atom_site_label
_atom_site_type_symbol
_atom_site_fract_x
_atom_site_fract_y
_atom_site_fract_z
_atom_site_occupancy
Ti1 Ti 0.0036 0.3355 0.3811 1
O1 O 0.3333 0.6667 0.2500 1
# MP2020-corrected energy: -8.391 eV/atom
# E above lowest polymorph: 0.000 eV/atom

***

# TiO (PBE, relaxed)
data_TiO
_chemical_formula_sum 'Ti12 O12'
_cell_length_a 2.821
_cell_length_b 2.821
_cell_length_c 35.056
_cell_angle_alpha 90.00
_cell_angle_beta 90.00
_cell_angle_gamma 90.00
_space_group_name_H-M_alt 'I 4/m m m'
_space_group_IT_number 139
_space_group_name_Hall '-I 4 2'
loop_
_atom_site_label
_atom_site_type_symbol
_atom_site_fract_x
_atom_site_fract_y
_atom_site_fract_z
_atom_site_occupancy
Ti1 Ti 0.000 0.000 0.070 1
Ti2 Ti 0.000 0.000 0.218 1
Ti3 Ti 0.000 0.000 0.363 1
O1 O 0.000 0.000 0.154 1
O2 O 0.000 0.000 0.297 1
O3 O 0.000 0.000 0.445 1
# MP2020-corrected energy: -9.148 eV/atom

***

# TiO (PBE, relaxed)
data_TiO
_chemical_formula_sum 'Ti21 O21'
_cell_length_a 4.280
_cell_length_b 5.829
_cell_length_c 18.062
_cell_angle_alpha 89.53
_cell_angle_beta 89.86
_cell_angle_gamma 89.75
_space_group_name_H-M_alt 'P -1'
_space_group_IT_number 2
_space_group_name_Hall '-P 1'
loop_
_atom_site_label
_atom_site_type_symbol
_atom_site_fract_x
_atom_site_fract_y
_atom_site_fract_z
_atom_site_occupancy
Ti1 Ti 0.000 0.000 0.000 1
Ti2 Ti 0.000 0.000 0.500 1
Ti3 Ti 0.000 0.500 0.000 1
Ti4 Ti 0.027 0.001 0.330 1
Ti5 Ti 0.027 0.489 0.169 1
Ti6 Ti 0.027 0.515 0.339 1
Ti7 Ti 0.031 0.997 0.167 1
Ti8 Ti 0.441 0.748 0.087 1
Ti9 Ti 0.448 0.251 0.092 1
Ti10 Ti 0.468 0.762 0.256 1
Ti11 Ti 0.493 0.247 0.576 1
Ti12 Ti 0.495 0.746 0.581 1
O1 O 0.007 0.756 0.421 1
O2 O 0.008 0.249 0.416 1
O3 O 0.027 0.259 0.751 1
O4 O 0.056 0.752 0.914 1
O5 O 0.069 0.254 0.916 1
O6 O 0.475 0.007 0.830 1
O7 O 0.475 0.490 0.662 1
O8 O 0.476 0.994 0.663 1
O9 O 0.480 0.495 0.827 1
O10 O 0.500 0.000 0.000 1
O11 O 0.500 0.500 0.000 1
O12 O 0.500 0.500 0.500 1
# MP2020-corrected energy: -9.134 eV/atom